LiCoS2 | PBE-GGA | optimized geometry

Properties
- magnetic moment (μB per formula unit) = 0.00
- space group = Fd-3m
- formation energy from the elements (eV/atom) = -0.96
- mass density (g cm⁻³) = 3.78
- energy above the most stable polymorph in this dataset (eV per formula unit) = 0.20
- total energy after the MP2020 corrections (eV/atom) = -5.28

extended XYZ file:
```
16
Lattice="0.0000 4.8518 4.8518 4.8518 0.0000 4.8518 4.8518 4.8518 0.0000" Properties=species:S:1:pos:R:3 pbc="T T T"
S 5.9186 3.7849 5.9186
S 6.2108 6.2108 8.3445
S 8.3445 6.2108 6.2108
S 3.7849 3.7849 3.7849
S 8.3445 8.3445 8.3445
S 5.9186 5.9186 3.7849
S 3.7849 5.9186 5.9186
S 6.2108 8.3445 6.2108
Co 3.6388 6.0647 3.6388
Co 6.0647 6.0647 6.0647
Co 3.6388 3.6388 6.0647
Co 6.0647 3.6388 3.6388
Li 1.2129 1.2129 1.2129
Li 3.6388 3.6388 1.2129
Li 3.6388 1.2129 3.6388
Li 1.2129 3.6388 3.6388
```